No. 1
Entry from Materials Project: a geometry-optimized ScP4Rh6 structure (PBE).

abc: 7.0090 7.0090 3.6764
angles: 90.00 90.00 120.00
Last column: nearest neighbours and their distance in Å.
Space group P-6 (No. 174)
Asymmetric unit:
1 Sc 0.0000 0.0000 0.0000 x1  6 P 2.92, 6 Rh 2.98
2 P 0.1822 0.8086 0.5000 x3  4 Rh 2.28-2.43
3 P 0.6667 0.3333 0.0000 x1  9 Rh 2.42-2.51
4 Rh 0.0655 0.5474 0.0000 x3  5 P 2.42-2.59
5 Rh 0.3860 0.1845 0.5000 x3  4 P 2.28-2.51

**VASP energy**: -81.6 eV per cell
**Total magnetization**: 0.00 μB per cell

No. 2
Entry from Materials Project: a geometry-optimized Si2P4Rh structure (PBE).

abc: 6.5282 7.3483 5.5997
angles: 90.00 118.46 90.00
Last column: nearest neighbours and their distance in Å.
Space group C2/m (No. 12)
Asymmetric unit:
1 Si 0.0882 0.0000 0.3615 x4  2 P 2.32, 1 Si 2.33, 1 Rh 2.42
2 P 0.0656 0.2762 0.8462 x8  2 P 2.23-2.26, 1 Si 2.32, 1 Rh 2.42
3 Rh 0.0000 0.5000 0.5000 x2  2 Si 2.42, 4 P 2.42

**VASP energy**: -83.4 eV per cell
**Total magnetization**: 0.02 μB per cell